Entry 1:
VASP calculation (PBE-GGA) on YErCd2 after structural relaxation.

Properties
Energy of formation in eV/atom: -0.3297
Calculated volume in Å³/atom: 26.231

a = 7.487 Å, b = 7.487 Å, c = 7.487 Å
α = 90.00°, β = 90.00°, γ = 90.00°
Space group Fm-3m (No. 225)
Unique sites:
1 Y 0.000 0.000 0.000
2 Er 0.000 0.000 0.500
3 Cd 0.250 0.250 0.250

***

Entry 2:
VASP calculation (PBE-GGA) on TiNbP3O12 after structural relaxation.

Properties
Energy of formation in eV/atom: -2.9649
Energy with MP2020 corrections in eV per atom: -8.471
Calculated volume in Å³/atom: 14.364

a = 8.7335 Å, b = 8.7335 Å, c = 22.1805 Å
α = 90.00°, β = 90.00°, γ = 120.00°
Space group R3c (No. 161, hexagonal axes)
Unique sites:
1 Ti 0.0000 0.0000 0.0000
2 Nb 0.0000 0.0000 0.2813
3 P 0.0545 0.3811 0.0588
4 O 0.0269 0.1967 0.3352
5 O 0.0301 0.1966 0.0492
6 O 0.1608 0.4657 0.3995
7 O 0.1658 0.4698 0.1146

***

Entry 3:
VASP calculation (PBE-GGA) on Nb4AlN3 after structural relaxation.

Properties
Energy of formation in eV/atom: -0.8883
Energy with MP2020 corrections in eV per atom: -9.533
Calculated volume in Å³/atom: 12.779
Energy relative to the lowest polymorph listed for this composition in eV/atom: 0.095

a = 3.1084 Å, b = 3.1084 Å, c = 24.4352 Å
α = 90.00°, β = 90.00°, γ = 120.00°
Space group P6_3/mmc (No. 194)
Unique sites:
1 Nb 0.0000 0.0000 0.1592
2 Nb 0.3333 0.6667 0.0513
3 Al 0.3333 0.6667 0.2500
4 N 0.0000 0.0000 0.0000
5 N 0.3333 0.6667 0.6071

***

Entry 4:
VASP calculation (PBE-GGA) on Ti8In5 after structural relaxation.

Properties
Energy of formation in eV/atom: -0.1053
Calculated volume in Å³/atom: 19.301

a = 10.012 Å, b = 10.012 Å, c = 10.012 Å
α = 90.00°, β = 90.00°, γ = 90.00°
Space group P-43m (No. 215)
Unique sites:
1 Ti 0.000 0.000 0.357
2 Ti 0.097 0.097 0.097
3 Ti 0.140 0.500 0.500
4 Ti 0.168 0.168 0.518
5 Ti 0.171 0.171 0.829
6 In 0.025 0.310 0.310
7 In 0.340 0.340 0.340
8 In 0.351 0.351 0.649

***

Entry 5:
VASP calculation (PBE-GGA) on Zn after structural relaxation.

Properties
Energy of formation in eV/atom: 0.0000
Calculated volume in Å³/atom: 15.557
Energy relative to the lowest polymorph listed for this composition in eV/atom: 0.000

a = 2.6267 Å, b = 2.6267 Å, c = 5.2072 Å
α = 90.00°, β = 90.00°, γ = 120.00°
Space group P6_3/mmc (No. 194)
Unique sites:
1 Zn 0.3333 0.6667 0.2500

***

Entry 6:
VASP calculation (PBE-GGA) on Pr3Sn6Pd4 after structural relaxation.

Properties
Energy of formation in eV/atom: -0.7819
Calculated volume in Å³/atom: 23.982

a = 16.959 Å, b = 4.641 Å, c = 15.844 Å
α = 90.00°, β = 90.00°, γ = 90.00°
Space group Pnma (No. 62)
Unique sites:
1 Pr 0.115 0.250 0.247
2 Pr 0.143 0.750 0.619
3 Pr 0.150 0.250 0.984
4 Sn 0.026 0.750 0.920
5 Sn 0.050 0.250 0.461
6 Sn 0.057 0.250 0.770
7 Sn 0.170 0.750 0.394
8 Sn 0.190 0.750 0.838
9 Sn 0.207 0.750 0.121
10 Pd 0.010 0.750 0.378
11 Pd 0.048 0.750 0.100
12 Pd 0.208 0.250 0.475
13 Pd 0.218 0.250 0.767

***

Entry 7:
VASP calculation (PBE-GGA) on AcTb3 after structural relaxation.

Properties
Energy of formation in eV/atom: 0.0653
Calculated volume in Å³/atom: 35.027

a = 5.209 Å, b = 5.209 Å, c = 10.329 Å
α = 90.00°, β = 90.00°, γ = 90.00°
Space group I4/mmm (No. 139)
Unique sites:
1 Ac 0.000 0.000 0.000
2 Tb 0.000 0.000 0.500
3 Tb 0.000 0.500 0.250

***

Entry 8:
VASP calculation (PBE-GGA) on TiI4 after structural relaxation.

Properties
Energy of formation in eV/atom: -1.0312
Energy with MP2020 corrections in eV per atom: -3.829
Calculated volume in Å³/atom: 42.246

a = 14.148 Å, b = 8.528 Å, c = 7.005 Å
α = 90.00°, β = 91.43°, γ = 90.00°
Space group C2/c (No. 15)
Unique sites:
1 Ti 0.000 0.157 0.250
2 I 0.108 0.104 0.932
3 I 0.122 0.356 0.390

***

Entry 9:
VASP calculation (PBE-GGA) on Na2CaZr3P4S2O24 after structural relaxation.

Properties
Energy of formation in eV/atom: -2.9123
Energy with MP2020 corrections in eV per atom: -7.884
Calculated volume in Å³/atom: 15.257

a = 8.964 Å, b = 8.964 Å, c = 23.669 Å
α = 90.05°, β = 90.14°, γ = 119.96°
Space group P1 (No. 1)
Unique sites:
1 Na 0.000 0.000 0.000
2 Na 0.001 0.006 0.492
3 Na 0.326 0.672 0.827
4 Na 0.327 0.665 0.323
5 Na 0.661 0.344 0.167
6 Na 0.670 0.335 0.661
7 Ca 0.332 0.674 0.687
8 Ca 0.338 0.674 0.183
9 Ca 0.672 0.342 0.511
10 Zr 0.010 0.009 0.350
11 Zr 0.010 0.012 0.853
12 Zr 0.010 0.016 0.646
13 Zr 0.010 0.998 0.146
14 Zr 0.336 0.675 0.473
15 Zr 0.343 0.683 0.979
16 Zr 0.666 0.343 0.014
17 Zr 0.668 0.346 0.314
18 Zr 0.669 0.335 0.812
19 P 0.295 0.014 0.750
20 P 0.297 0.296 0.248
21 P 0.338 0.972 0.080
22 P 0.375 0.046 0.414
23 P 0.382 0.346 0.913
24 P 0.635 0.677 0.080
25 P 0.670 0.050 0.914
26 P 0.672 0.640 0.414
27 P 0.962 0.630 0.913
28 P 0.964 0.339 0.413
29 P 0.998 0.293 0.750
30 P 0.998 0.711 0.249
31 S 0.040 0.376 0.079
32 S 0.043 0.680 0.581
33 S 0.334 0.379 0.581
34 S 0.634 0.966 0.582
35 S 0.719 0.015 0.248
36 S 0.721 0.718 0.749
37 O 0.004 0.821 0.300
38 O 0.005 0.191 0.802
39 O 0.022 0.202 0.083
40 O 0.032 0.843 0.585
41 O 0.108 0.476 0.130
42 O 0.126 0.663 0.632
43 O 0.141 0.648 0.921
44 O 0.147 0.505 0.420
45 O 0.150 0.463 0.028
46 O 0.150 0.700 0.530
47 O 0.158 0.697 0.248
48 O 0.159 0.468 0.749
49 O 0.169 0.204 0.585
50 O 0.174 0.990 0.084
51 O 0.184 0.001 0.801
52 O 0.187 0.197 0.300
53 O 0.191 0.013 0.403
54 O 0.201 0.183 0.907
55 O 0.203 0.031 0.695
56 O 0.203 0.185 0.194
57 O 0.312 0.854 0.027
58 O 0.313 0.465 0.530
59 O 0.316 0.473 0.247
60 O 0.317 0.857 0.749
61 O 0.349 0.476 0.632
62 O 0.358 0.863 0.420
63 O 0.361 0.505 0.921
64 O 0.370 0.902 0.133
65 O 0.440 0.146 0.468
66 O 0.466 0.318 0.966
67 O 0.471 0.184 0.754
68 O 0.473 0.301 0.253
69 O 0.480 0.351 0.577
70 O 0.491 0.135 0.362
71 O 0.492 0.368 0.861
72 O 0.494 0.154 0.068
73 O 0.505 0.655 0.420
74 O 0.508 0.870 0.921
75 O 0.531 0.639 0.133
76 O 0.536 0.883 0.633
77 O 0.540 0.698 0.027
78 O 0.546 0.859 0.530
79 O 0.549 0.862 0.246
80 O 0.550 0.700 0.746
81 O 0.642 0.521 0.362
82 O 0.644 0.136 0.861
83 O 0.661 0.140 0.577
84 O 0.666 0.524 0.068
85 O 0.697 0.162 0.966
86 O 0.708 0.175 0.253
87 O 0.708 0.575 0.468
88 O 0.709 0.546 0.753
89 O 0.808 0.976 0.586
90 O 0.810 0.003 0.299
91 O 0.810 0.821 0.800
92 O 0.815 0.843 0.085
93 O 0.821 0.032 0.196
94 O 0.821 0.823 0.402
95 O 0.823 0.802 0.697
96 O 0.829 0.028 0.907
97 O 0.830 0.533 0.254
98 O 0.831 0.305 0.754
99 O 0.850 0.544 0.966
100 O 0.865 0.353 0.069
101 O 0.866 0.305 0.468
102 O 0.869 0.532 0.577
103 O 0.873 0.518 0.860
104 O 0.874 0.368 0.362
105 O 0.977 0.800 0.194
106 O 0.978 0.184 0.695
107 O 0.980 0.810 0.906
108 O 0.996 0.188 0.402